[1]
{
  "formula": "CsInTe3O8",
  "functional": "PBE-GGA",
  "state": "relaxed",
  "total_magnetization_mub_per_cell": 0.01,
  "lattice_angstrom": [[5.925, 0.000, 0.000], [2.756, 7.459, 0.000], [0.123, 2.230, 11.275]],
  "species": ["Cs", "Cs", "In", "In", "Te", "Te", "Te", "Te", "Te", "Te", "O", "O", "O", "O", "O", "O", "O", "O", "O", "O", "O", "O", "O", "O", "O", "O"],
  "fractional_positions": [[0.181, 0.110, 0.339], [0.819, 0.890, 0.661], [0.000, 0.500, 0.000], [0.500, 0.500, 0.500], [0.076, 0.325, 0.653], [0.218, 0.012, 0.921], [0.486, 0.524, 0.165], [0.514, 0.476, 0.835], [0.782, 0.988, 0.079], [0.924, 0.675, 0.347], [0.115, 0.964, 0.102], [0.164, 0.722, 0.429], [0.184, 0.257, 0.923], [0.232, 0.074, 0.734], [0.240, 0.628, 0.902], [0.274, 0.396, 0.149], [0.294, 0.313, 0.530], [0.406, 0.577, 0.673], [0.594, 0.423, 0.327], [0.706, 0.687, 0.470], [0.726, 0.604, 0.851], [0.760, 0.372, 0.098], [0.768, 0.926, 0.266], [0.816, 0.743, 0.077], [0.836, 0.278, 0.571], [0.885, 0.036, 0.898]]
}

=====

[2]
{
  "formula": "Cs3InP2",
  "functional": "PBE-GGA",
  "state": "relaxed",
  "lattice_angstrom": [[9.875, 0.000, 0.000], [4.321, 12.383, 0.000], [2.375, 1.839, 15.771]],
  "species": ["Cs", "Cs", "Cs", "Cs", "Cs", "Cs", "Cs", "Cs", "Cs", "Cs", "Cs", "Cs", "Cs", "Cs", "Cs", "Cs", "Cs", "Cs", "Cs", "Cs", "Cs", "Cs", "Cs", "Cs", "In", "In", "In", "In", "In", "In", "In", "In", "P", "P", "P", "P", "P", "P", "P", "P", "P", "P", "P", "P", "P", "P", "P", "P"],
  "fractional_positions": [[0.021, 0.135, 0.461], [0.042, 0.148, 0.914], [0.088, 0.514, 0.189], [0.096, 0.167, 0.179], [0.230, 0.271, 0.646], [0.265, 0.829, 0.265], [0.282, 0.807, 0.885], [0.288, 0.536, 0.753], [0.352, 0.268, 0.325], [0.389, 0.665, 0.515], [0.440, 0.601, 0.084], [0.457, 0.015, 0.800], [0.543, 0.985, 0.200], [0.560, 0.399, 0.916], [0.611, 0.335, 0.485], [0.648, 0.732, 0.675], [0.712, 0.464, 0.247], [0.718, 0.193, 0.115], [0.735, 0.171, 0.735], [0.770, 0.729, 0.354], [0.904, 0.833, 0.821], [0.912, 0.486, 0.811], [0.958, 0.852, 0.086], [0.979, 0.865, 0.539], [0.138, 0.524, 0.438], [0.163, 0.394, 0.987], [0.365, 0.986, 0.573], [0.417, 0.144, 0.991], [0.583, 0.856, 0.009], [0.635, 0.014, 0.427], [0.837, 0.606, 0.013], [0.862, 0.476, 0.562], [0.034, 0.580, 0.587], [0.107, 0.609, 0.961], [0.160, 0.979, 0.681], [0.301, 0.282, 0.859], [0.310, 0.976, 0.039], [0.349, 0.543, 0.341], [0.356, 0.292, 0.098], [0.412, 0.952, 0.416], [0.588, 0.048, 0.584], [0.644, 0.708, 0.902], [0.651, 0.457, 0.659], [0.690, 0.024, 0.961], [0.699, 0.718, 0.141], [0.840, 0.021, 0.319], [0.893, 0.391, 0.039], [0.966, 0.420, 0.413]]
}

=====

[3]
{
  "formula": "Cs2In2Sb3",
  "functional": "PBE-GGA",
  "state": "relaxed",
  "total_magnetization_mub_per_cell": 0.23,
  "lattice_angstrom": [[16.152, 0.000, 0.000], [0.000, 7.794, 0.000], [-0.178, 0.000, 18.435]],
  "species": ["Cs", "Cs", "Cs", "Cs", "Cs", "Cs", "Cs", "Cs", "Cs", "Cs", "Cs", "Cs", "Cs", "Cs", "Cs", "Cs", "In", "In", "In", "In", "In", "In", "In", "In", "In", "In", "In", "In", "In", "In", "In", "In", "Sb", "Sb", "Sb", "Sb", "Sb", "Sb", "Sb", "Sb", "Sb", "Sb", "Sb", "Sb", "Sb", "Sb", "Sb", "Sb", "Sb", "Sb", "Sb", "Sb", "Sb", "Sb", "Sb", "Sb"],
  "fractional_positions": [[0.055, 0.051, 0.103], [0.055, 0.449, 0.603], [0.153, 0.540, 0.018], [0.153, 0.960, 0.518], [0.357, 0.023, 0.005], [0.357, 0.477, 0.505], [0.425, 0.529, 0.110], [0.425, 0.971, 0.610], [0.575, 0.029, 0.390], [0.575, 0.471, 0.890], [0.643, 0.523, 0.495], [0.643, 0.977, 0.995], [0.847, 0.040, 0.482], [0.847, 0.460, 0.982], [0.945, 0.551, 0.397], [0.945, 0.949, 0.897], [0.094, 0.742, 0.259], [0.094, 0.758, 0.759], [0.185, 0.222, 0.325], [0.185, 0.278, 0.825], [0.319, 0.736, 0.318], [0.319, 0.764, 0.818], [0.407, 0.208, 0.268], [0.407, 0.292, 0.768], [0.593, 0.708, 0.232], [0.593, 0.792, 0.732], [0.681, 0.236, 0.182], [0.681, 0.264, 0.682], [0.815, 0.722, 0.175], [0.815, 0.778, 0.675], [0.906, 0.242, 0.241], [0.906, 0.258, 0.741], [0.025, 0.044, 0.332], [0.025, 0.456, 0.832], [0.174, 0.565, 0.382], [0.174, 0.935, 0.882], [0.247, 0.668, 0.677], [0.247, 0.832, 0.177], [0.255, 0.202, 0.180], [0.255, 0.298, 0.680], [0.333, 0.055, 0.396], [0.333, 0.445, 0.896], [0.472, 0.536, 0.323], [0.472, 0.964, 0.823], [0.528, 0.036, 0.177], [0.528, 0.464, 0.677], [0.667, 0.555, 0.104], [0.667, 0.945, 0.604], [0.745, 0.702, 0.320], [0.745, 0.798, 0.820], [0.753, 0.168, 0.823], [0.753, 0.332, 0.323], [0.826, 0.065, 0.118], [0.826, 0.435, 0.618], [0.975, 0.544, 0.168], [0.975, 0.956, 0.668]]
}

=====

[4]
{
  "formula": "CsInSe2",
  "functional": "PBE-GGA",
  "state": "relaxed",
  "lattice_angstrom": [[5.965, -5.964, 0.000], [5.965, 5.964, 0.000], [-2.978, 0.000, 17.021]],
  "species": ["Cs", "Cs", "Cs", "Cs", "Cs", "Cs", "Cs", "Cs", "In", "In", "In", "In", "In", "In", "In", "In", "Se", "Se", "Se", "Se", "Se", "Se", "Se", "Se", "Se", "Se", "Se", "Se", "Se", "Se", "Se", "Se"],
  "fractional_positions": [[0.151, 0.776, 0.604], [0.223, 0.348, 0.892], [0.224, 0.849, 0.896], [0.348, 0.223, 0.392], [0.652, 0.777, 0.608], [0.776, 0.151, 0.104], [0.777, 0.652, 0.108], [0.849, 0.224, 0.396], [0.085, 0.709, 0.334], [0.291, 0.915, 0.166], [0.292, 0.418, 0.167], [0.418, 0.292, 0.667], [0.582, 0.708, 0.333], [0.708, 0.582, 0.833], [0.709, 0.085, 0.834], [0.915, 0.291, 0.666], [0.051, 0.427, 0.250], [0.051, 0.949, 0.250], [0.143, 0.268, 0.573], [0.268, 0.143, 0.073], [0.268, 0.643, 0.072], [0.357, 0.732, 0.428], [0.426, 0.574, 0.750], [0.427, 0.051, 0.750], [0.573, 0.949, 0.250], [0.574, 0.426, 0.250], [0.643, 0.268, 0.572], [0.732, 0.357, 0.928], [0.732, 0.857, 0.927], [0.857, 0.732, 0.427], [0.949, 0.051, 0.750], [0.949, 0.573, 0.750]]
}

=====

[5]
{
  "formula": "CsInTe2",
  "functional": "PBE-GGA",
  "state": "relaxed",
  "lattice_angstrom": [[6.413, -6.416, 0.000], [6.413, 6.416, 0.000], [-3.206, 0.000, 18.080]],
  "species": ["Cs", "Cs", "Cs", "Cs", "Cs", "Cs", "Cs", "Cs", "In", "In", "In", "In", "In", "In", "In", "In", "Te", "Te", "Te", "Te", "Te", "Te", "Te", "Te", "Te", "Te", "Te", "Te", "Te", "Te", "Te", "Te"],
  "fractional_positions": [[0.151, 0.777, 0.604], [0.222, 0.347, 0.888], [0.223, 0.849, 0.896], [0.347, 0.222, 0.388], [0.653, 0.778, 0.612], [0.777, 0.151, 0.104], [0.778, 0.653, 0.112], [0.849, 0.223, 0.396], [0.085, 0.709, 0.334], [0.291, 0.419, 0.167], [0.291, 0.915, 0.166], [0.419, 0.291, 0.667], [0.581, 0.709, 0.333], [0.709, 0.085, 0.834], [0.709, 0.581, 0.833], [0.915, 0.291, 0.666], [0.050, 0.950, 0.250], [0.051, 0.426, 0.251], [0.144, 0.267, 0.572], [0.267, 0.144, 0.072], [0.267, 0.642, 0.071], [0.358, 0.733, 0.429], [0.426, 0.051, 0.751], [0.426, 0.574, 0.750], [0.574, 0.426, 0.250], [0.574, 0.949, 0.249], [0.642, 0.267, 0.571], [0.733, 0.358, 0.929], [0.733, 0.856, 0.928], [0.856, 0.733, 0.428], [0.949, 0.574, 0.749], [0.950, 0.050, 0.750]]
}

=====

[6]
{
  "formula": "Cs2Na2IrO4",
  "functional": "PBE-GGA",
  "state": "relaxed",
  "total_magnetization_mub_per_cell": 6.00,
  "lattice_angstrom": [[6.044, -3.016, 0.000], [6.044, 3.016, 0.000], [-2.359, 0.000, 9.476]],
  "species": ["Cs", "Cs", "Cs", "Cs", "Na", "Na", "Na", "Na", "Ir", "Ir", "O", "O", "O", "O", "O", "O", "O", "O"],
  "fractional_positions": [[0.167, 0.167, 0.364], [0.170, 0.170, 0.741], [0.830, 0.830, 0.259], [0.833, 0.833, 0.636], [0.283, 0.283, 0.074], [0.474, 0.474, 0.840], [0.526, 0.526, 0.160], [0.717, 0.717, 0.926], [0.000, 0.000, 0.000], [0.500, 0.500, 0.500], [0.111, 0.656, 0.970], [0.344, 0.889, 0.030], [0.375, 0.375, 0.593], [0.395, 0.395, 0.314], [0.605, 0.605, 0.686], [0.625, 0.625, 0.407], [0.656, 0.111, 0.970], [0.889, 0.344, 0.030]]
}

=====

[7]
{
  "formula": "CsK2",
  "functional": "PBE-GGA",
  "state": "relaxed",
  "lattice_angstrom": [[9.066, 0.000, 0.000], [-4.533, 7.852, 0.000], [0.000, 0.000, 14.848]],
  "species": ["Cs", "Cs", "Cs", "Cs", "K", "K", "K", "K", "K", "K", "K", "K"],
  "fractional_positions": [[0.333, 0.667, 0.063], [0.333, 0.667, 0.437], [0.667, 0.333, 0.563], [0.667, 0.333, 0.937], [0.000, 0.000, 0.000], [0.000, 0.000, 0.500], [0.168, 0.336, 0.750], [0.168, 0.832, 0.750], [0.336, 0.168, 0.250], [0.664, 0.832, 0.750], [0.832, 0.168, 0.250], [0.832, 0.664, 0.250]]
}

=====

[8]
{
  "formula": "CsKNaLi13Si4O16",
  "functional": "PBE-GGA",
  "state": "relaxed",
  "total_magnetization_mub_per_cell": 0.00,
  "lattice_angstrom": [[8.000, -3.234, 0.000], [8.000, 3.234, 0.000], [-0.125, 0.000, 15.981]],
  "species": ["Cs", "Cs", "K", "K", "Na", "Na", "Li", "Li", "Li", "Li", "Li", "Li", "Li", "Li", "Li", "Li", "Li", "Li", "Li", "Li", "Li", "Li", "Li", "Li", "Li", "Li", "Li", "Li", "Li", "Li", "Li", "Li", "Si", "Si", "Si", "Si", "Si", "Si", "Si", "Si", "O", "O", "O", "O", "O", "O", "O", "O", "O", "O", "O", "O", "O", "O", "O", "O", "O", "O", "O", "O", "O", "O", "O", "O", "O", "O", "O", "O", "O", "O", "O", "O"],
  "fractional_positions": [[0.249, 0.249, 0.249], [0.751, 0.751, 0.751], [0.251, 0.251, 0.751], [0.749, 0.749, 0.249], [0.252, 0.748, 0.000], [0.748, 0.252, 0.000], [0.000, 0.000, 0.500], [0.061, 0.572, 0.082], [0.072, 0.565, 0.578], [0.075, 0.075, 0.346], [0.152, 0.152, 0.074], [0.171, 0.666, 0.813], [0.171, 0.669, 0.319], [0.331, 0.829, 0.681], [0.334, 0.829, 0.187], [0.344, 0.344, 0.424], [0.425, 0.425, 0.155], [0.428, 0.939, 0.918], [0.435, 0.928, 0.422], [0.500, 0.500, 0.500], [0.565, 0.072, 0.578], [0.572, 0.061, 0.082], [0.575, 0.575, 0.845], [0.656, 0.656, 0.576], [0.666, 0.171, 0.813], [0.669, 0.171, 0.319], [0.829, 0.331, 0.681], [0.829, 0.334, 0.187], [0.848, 0.848, 0.926], [0.925, 0.925, 0.654], [0.928, 0.435, 0.422], [0.939, 0.428, 0.918], [0.060, 0.060, 0.811], [0.187, 0.187, 0.560], [0.314, 0.314, 0.942], [0.439, 0.439, 0.686], [0.561, 0.561, 0.314], [0.686, 0.686, 0.058], [0.813, 0.813, 0.440], [0.940, 0.940, 0.189], [0.022, 0.022, 0.124], [0.026, 0.026, 0.712], [0.035, 0.605, 0.383], [0.096, 0.668, 0.178], [0.108, 0.537, 0.885], [0.119, 0.119, 0.480], [0.169, 0.594, 0.676], [0.216, 0.216, 0.976], [0.283, 0.283, 0.523], [0.332, 0.904, 0.822], [0.379, 0.379, 0.025], [0.395, 0.965, 0.617], [0.406, 0.831, 0.324], [0.463, 0.892, 0.115], [0.476, 0.476, 0.782], [0.480, 0.480, 0.382], [0.520, 0.520, 0.618], [0.524, 0.524, 0.218], [0.537, 0.108, 0.885], [0.594, 0.169, 0.676], [0.605, 0.035, 0.383], [0.621, 0.621, 0.975], [0.668, 0.096, 0.178], [0.717, 0.717, 0.477], [0.784, 0.784, 0.024], [0.831, 0.406, 0.324], [0.881, 0.881, 0.520], [0.892, 0.463, 0.115], [0.904, 0.332, 0.822], [0.965, 0.395, 0.617], [0.974, 0.974, 0.288], [0.978, 0.978, 0.876]]
}

=====

Calculated formation energy / eV/atom: -1.714; -0.321; -0.436; -1.174; -0.945; -1.514; 0.025; -2.546